ErAsSe: relaxed, r2SCAN.

Cell and atoms, written as extended XYZ:
```
12
Lattice="3.868 0.000 0.000 0.000 3.904 0.000 0.000 0.000 17.320" Properties=species:S:1:pos:R:3 pbc="T T T"
Er 2.901 0.934 14.899
Er 2.901 1.018 6.239
Er 0.967 2.970 2.421
Er 0.967 2.886 11.082
As 0.967 0.832 8.687
As 0.967 1.120 0.027
As 2.901 3.073 8.633
As 2.901 2.784 17.293
Se 2.901 0.944 11.909
Se 2.901 1.009 3.249
Se 0.967 2.961 5.412
Se 0.967 2.896 14.072
```

Values from the calculation:
formation enthalpy at 0 K: -4.87 eV per formula unit